DFT (PBE with a Hubbard U) results for an optimized crystal structure of Sr3Ca5FeCo7O20.

Cell lengths 10.737, 11.193, 17.299 Å; angles 108.70, 107.91, 90.38 degrees
Space group P1 (No. 1)
Inequivalent atoms, fractional coordinates:
Sr: 0.000 0.000 0.000 x1
Sr: 0.002 0.004 0.506 x1
Sr: 0.143 0.636 0.282 x1
Sr: 0.253 0.764 0.506 x1
Sr: 0.393 0.907 0.280 x1
Sr: 0.500 0.005 0.000 x1
Sr: 0.636 0.644 0.280 x1
Sr: 0.640 0.145 0.281 x1
Sr: 0.747 0.766 0.996 x1
Sr: 0.752 0.272 0.506 x1
Sr: 0.889 0.404 0.279 x1
Sr: 0.891 0.908 0.281 x1
Ca: 0.001 0.499 0.502 x1
Ca: 0.135 0.635 0.778 x1
Ca: 0.136 0.137 0.780 x1
Ca: 0.146 0.138 0.284 x1
Ca: 0.246 0.772 0.996 x1
Ca: 0.249 0.268 0.999 x1
Ca: 0.254 0.273 0.502 x1
Ca: 0.385 0.409 0.779 x1
Ca: 0.387 0.411 0.282 x1
Ca: 0.388 0.912 0.779 x1
Ca: 0.492 0.491 0.996 x1
Ca: 0.496 0.501 0.500 x1
Ca: 0.504 0.996 0.500 x1
Ca: 0.637 0.135 0.778 x1
Ca: 0.637 0.633 0.776 x1
Ca: 0.741 0.268 0.996 x1
Ca: 0.747 0.774 0.501 x1
Ca: 0.882 0.909 0.778 x1
Ca: 0.888 0.411 0.780 x1
Ca: 0.995 0.489 0.995 x1
Fe: 0.053 0.293 0.138 x1
Fe: 0.053 0.791 0.137 x1
Fe: 0.299 0.605 0.135 x1
Fe: 0.797 0.606 0.136 x1
Co: 0.048 0.795 0.642 x1
Co: 0.058 0.302 0.644 x1
Co: 0.192 0.949 0.880 x1
Co: 0.198 0.451 0.391 x1
Co: 0.198 0.452 0.889 x1
Co: 0.202 0.955 0.394 x1
Co: 0.301 0.112 0.142 x1
Co: 0.303 0.607 0.644 x1
Co: 0.306 0.114 0.643 x1
Co: 0.443 0.701 0.884 x1
Co: 0.446 0.200 0.884 x1
Co: 0.449 0.208 0.394 x1
Co: 0.451 0.704 0.395 x1
Co: 0.546 0.794 0.135 x1
Co: 0.548 0.303 0.140 x1
Co: 0.549 0.299 0.641 x1
Co: 0.556 0.798 0.643 x1
Co: 0.693 0.950 0.883 x1
Co: 0.696 0.450 0.887 x1
Co: 0.699 0.460 0.396 x1
Co: 0.700 0.958 0.396 x1
Co: 0.800 0.111 0.643 x1
Co: 0.801 0.613 0.642 x1
Co: 0.804 0.114 0.139 x1
Co: 0.945 0.702 0.886 x1
Co: 0.946 0.703 0.393 x1
Co: 0.947 0.203 0.888 x1
Co: 0.950 0.208 0.394 x1
O: 0.023 0.799 0.535 x1
O: 0.030 0.302 0.535 x1
O: 0.032 0.799 0.027 x1
O: 0.038 0.301 0.027 x1
O: 0.059 0.315 0.874 x1
O: 0.060 0.812 0.873 x1
O: 0.064 0.818 0.385 x1
O: 0.072 0.319 0.387 x1
O: 0.078 0.574 0.406 x1
O: 0.081 0.073 0.895 x1
O: 0.084 0.574 0.900 x1
O: 0.086 0.078 0.401 x1
O: 0.116 0.628 0.131 x1
O: 0.120 0.637 0.642 x1
O: 0.121 0.137 0.146 x1
O: 0.131 0.147 0.650 x1
O: 0.137 0.912 0.248 x1
O: 0.138 0.408 0.248 x1
O: 0.141 0.915 0.747 x1
O: 0.142 0.421 0.749 x1
O: 0.274 0.995 0.035 x1
O: 0.279 0.002 0.536 x1
O: 0.282 0.496 0.539 x1
O: 0.285 0.483 0.027 x1
O: 0.308 0.828 0.875 x1
O: 0.309 0.328 0.874 x1
O: 0.311 0.323 0.380 x1
O: 0.316 0.832 0.387 x1
O: 0.327 0.095 0.896 x1
O: 0.330 0.579 0.404 x1
O: 0.331 0.594 0.901 x1
O: 0.335 0.094 0.405 x1
O: 0.362 0.763 0.131 x1
O: 0.365 0.272 0.138 x1
O: 0.369 0.276 0.642 x1
O: 0.380 0.769 0.651 x1
O: 0.381 0.602 0.248 x1
O: 0.385 0.113 0.251 x1
O: 0.389 0.597 0.751 x1
O: 0.394 0.099 0.747 x1
O: 0.521 0.309 0.534 x1
O: 0.524 0.803 0.029 x1
O: 0.528 0.304 0.030 x1
O: 0.529 0.805 0.536 x1
O: 0.557 0.815 0.873 x1
O: 0.559 0.316 0.876 x1
O: 0.561 0.330 0.386 x1
O: 0.571 0.833 0.388 x1
O: 0.578 0.079 0.896 x1
O: 0.579 0.569 0.897 x1
O: 0.582 0.081 0.404 x1
O: 0.583 0.583 0.407 x1
O: 0.615 0.631 0.129 x1
O: 0.618 0.139 0.641 x1
O: 0.620 0.635 0.641 x1
O: 0.626 0.148 0.141 x1
O: 0.627 0.900 0.245 x1
O: 0.628 0.408 0.249 x1
O: 0.640 0.414 0.746 x1
O: 0.643 0.917 0.746 x1
O: 0.772 0.002 0.534 x1
O: 0.775 0.999 0.032 x1
O: 0.784 0.504 0.536 x1
O: 0.785 0.486 0.028 x1
O: 0.809 0.326 0.874 x1
O: 0.809 0.820 0.872 x1
O: 0.813 0.833 0.386 x1
O: 0.818 0.335 0.388 x1
O: 0.829 0.093 0.897 x1
O: 0.829 0.593 0.404 x1
O: 0.830 0.089 0.399 x1
O: 0.834 0.586 0.896 x1
O: 0.867 0.776 0.642 x1
O: 0.869 0.270 0.130 x1
O: 0.874 0.764 0.138 x1
O: 0.879 0.609 0.250 x1
O: 0.880 0.270 0.649 x1
O: 0.887 0.097 0.747 x1
O: 0.889 0.118 0.249 x1
O: 0.889 0.598 0.747 x1

Calculated values
Formation enthalpy at 0 K, meV per atom: -2173.8